w:
The following is a GGA-PBE calculation of crystalline Cs2HgBr4 at its relaxed geometry, from Materials Project.

Values from the calculation:
As for the symmetry: P2_1/c.

abc: 7.9422 10.9226 16.6702
angles: 61.10 90.00 90.00
Last column: nearest neighbours and their distance in Å.
Fractional positions:
Cs 0.2545 0.4374 0.4019  8 Br 3.76-4.15
Cs 0.7545 0.5626 0.0981  8 Br 3.76-4.15
Cs 0.7455 0.5626 0.5981  8 Br 3.76-4.15
Cs 0.2455 0.4374 0.9019  8 Br 3.76-4.15
Cs 0.2463 0.9358 0.1593  7 Br 3.67-4.11
Cs 0.7463 0.0642 0.3407  7 Br 3.67-4.11
Cs 0.7537 0.0642 0.8407  7 Br 3.67-4.11
Cs 0.2537 0.9358 0.6593  7 Br 3.67-4.11
Hg 0.2568 0.8054 0.9544  4 Br 2.66-2.68
Hg 0.7568 0.1946 0.5456  4 Br 2.66-2.68
Hg 0.7432 0.1946 0.0456  4 Br 2.66-2.68
Hg 0.2432 0.8054 0.4544  4 Br 2.66-2.68
Br 0.9939 0.7507 0.8756  1 Hg 2.68
Br 0.4939 0.2493 0.6244  1 Hg 2.68
Br 0.0061 0.2493 0.1244  1 Hg 2.68
Br 0.5061 0.7507 0.3756  1 Hg 2.68
Br 0.5154 0.7457 0.8765  1 Hg 2.67
Br 0.0154 0.2543 0.6235  1 Hg 2.67
Br 0.4846 0.2543 0.1235  1 Hg 2.67
Br 0.9846 0.7457 0.3765  1 Hg 2.67
Br 0.2493 0.6202 0.1336  1 Hg 2.68
Br 0.7493 0.3798 0.3664  1 Hg 2.68
Br 0.7507 0.3798 0.8664  1 Hg 2.68
Br 0.2507 0.6202 0.6336  1 Hg 2.68
Br 0.2584 0.0747 0.9092  1 Hg 2.66
Br 0.7584 0.9253 0.5908  1 Hg 2.66
Br 0.7416 0.9253 0.0908  1 Hg 2.66
Br 0.2416 0.0747 0.4092  1 Hg 2.66


x:
The following is a GGA-PBE calculation of crystalline Cs2HgBr4 at its relaxed geometry, from Materials Project.

Values from the calculation:
As for the symmetry: Pnma.

abc: 8.1867 10.5189 14.4413
angles: 90.00 90.00 90.00
Last column: nearest neighbours and their distance in Å.
Fractional positions:
Cs 0.2500 0.9827 0.1708  7 Br 3.73-3.79
Cs 0.7500 0.3790 0.0997  5 Br 3.70-4.14
Cs 0.7500 0.5173 0.6708  7 Br 3.73-3.79
Cs 0.2500 0.1210 0.5997  5 Br 3.70-4.14
Cs 0.2500 0.6210 0.9003  5 Br 3.70-4.14
Cs 0.2500 0.4827 0.3292  7 Br 3.73-3.79
Cs 0.7500 0.8790 0.4003  5 Br 3.70-4.14
Cs 0.7500 0.0173 0.8292  7 Br 3.73-3.79
Hg 0.2500 0.7222 0.5767  4 Br 2.64-2.69
Hg 0.7500 0.2778 0.4233  4 Br 2.64-2.69
Hg 0.2500 0.2222 0.9233  4 Br 2.64-2.69
Hg 0.7500 0.7778 0.0767  4 Br 2.64-2.69
Br 0.2500 0.9720 0.9114  1 Hg 2.64
Br 0.2500 0.3217 0.0946  1 Hg 2.69
Br 0.5138 0.3216 0.8424  1 Hg 2.67
Br 0.7500 0.1783 0.5946  1 Hg 2.69
Br 0.2500 0.4720 0.5886  1 Hg 2.64
Br 0.9862 0.8216 0.6576  1 Hg 2.67
Br 0.4862 0.1784 0.3424  1 Hg 2.67
Br 0.0138 0.1784 0.3424  1 Hg 2.67
Br 0.9862 0.3216 0.8424  1 Hg 2.67
Br 0.0138 0.6784 0.1576  1 Hg 2.67
Br 0.7500 0.6783 0.9054  1 Hg 2.69
Br 0.2500 0.8217 0.4054  1 Hg 2.69
Br 0.7500 0.0280 0.0886  1 Hg 2.64
Br 0.5138 0.8216 0.6576  1 Hg 2.67
Br 0.7500 0.5280 0.4114  1 Hg 2.64
Br 0.4862 0.6784 0.1576  1 Hg 2.67


It turns out w is the most stable, with the second structure 6 meV per atom higher.


w:
The following is a GGA-PBE calculation of crystalline CsScBr3 at its relaxed geometry, from Materials Project.

Values from the calculation:
As for the symmetry: Pm.

abc: 5.5194 5.5229 5.5240
angles: 89.99 90.00 90.00
Last column: nearest neighbours and their distance in Å.
Fractional positions:
Cs 0.5000 0.9994 0.9943  12 Br 3.86-3.95
Sc 0.0000 0.5035 0.4854  6 Br 2.76
Br 0.5000 0.5044 0.4868  2 Sc 2.76
Br 0.0000 0.4993 0.9857  2 Sc 2.76
Br 0.0000 0.0035 0.4879  2 Sc 2.76


x:
The following is a GGA-PBE calculation of crystalline CsScBr3 at its relaxed geometry, from Materials Project.

Values from the calculation:
As for the symmetry: P6_3/mmc.

abc: 6.2673 8.0350 8.0350
angles: 120.00 90.00 90.00
Last column: nearest neighbours and their distance in Å.
Fractional positions:
Cs 0.2500 0.6667 0.3333  12 Br 3.93-4.02
Cs 0.7500 0.3333 0.6667  12 Br 3.93-4.02
Sc 0.0000 0.0000 0.0000  6 Br 2.76
Sc 0.5000 0.0000 0.0000  6 Br 2.76
Br 0.7500 0.8368 0.1632  2 Sc 2.76
Br 0.2500 0.1632 0.8368  2 Sc 2.76
Br 0.7500 0.3265 0.1632  2 Sc 2.76
Br 0.2500 0.6735 0.8368  2 Sc 2.76
Br 0.7500 0.8368 0.6735  2 Sc 2.76
Br 0.2500 0.1632 0.3265  2 Sc 2.76


It turns out x is the most stable, with the second structure 84 meV per atom higher.


w:
The following is a GGA-PBE calculation of crystalline CuBr4N2O2 at its relaxed geometry, from Materials Project.

Values from the calculation:
As for the symmetry: P4_2/mnm.

abc: 9.1915 9.1915 6.1600
angles: 90.00 90.00 90.00
Last column: nearest neighbours and their distance in Å.
Fractional positions:
Cu 0.0000 0.0000 0.0000  2 O 1.86
Cu 0.5000 0.5000 0.5000  2 O 1.86
Br 0.1809 0.1809 0.0000  1 Cu 2.35
Br 0.8191 0.8191 0.0000  1 Cu 2.35
Br 0.6809 0.3191 0.5000  1 Cu 2.35
Br 0.3191 0.6809 0.5000  1 Cu 2.35
Br 0.6305 0.3695 0.0000  2 O 2.09
Br 0.3695 0.6305 0.0000  2 O 2.09
Br 0.8695 0.8695 0.5000  2 O 2.09
Br 0.1305 0.1305 0.5000  2 O 2.09
N 0.5000 0.0000 0.2500  2 N 3.08
N 0.5000 0.0000 0.7500  2 N 3.08
N 0.0000 0.5000 0.2500  2 N 3.08
N 0.0000 0.5000 0.7500  2 N 3.08
O 0.0000 0.0000 0.3014  1 Cu 1.86
O 0.0000 0.0000 0.6986  1 Cu 1.86
O 0.5000 0.5000 0.8014  1 Cu 1.86
O 0.5000 0.5000 0.1986  1 Cu 1.86


x:
The following is a GGA-PBE calculation of crystalline CuBr4N2O2 at its relaxed geometry, from Materials Project.

Values from the calculation:
As for the symmetry: I4/mmm.

abc: 6.8297 6.8297 6.8297
angles: 109.50 109.50 109.42
Last column: nearest neighbours and their distance in Å.
Fractional positions:
Cu 0.0000 0.0000 0.0000  4 Br 2.30
Br 0.2060 0.7940 0.0000  1 Cu 2.30
Br 0.7940 0.2060 0.0000  1 Cu 2.30
Br 0.2060 0.2060 0.4121  1 Cu 2.30
Br 0.7940 0.7940 0.5879  1 Cu 2.30
N 0.7500 0.2500 0.5000  8 Br 3.45
N 0.2500 0.7500 0.5000  8 Br 3.45
O 0.5781 0.5781 0.0000  1 O 1.23
O 0.4219 0.4219 0.0000  1 O 1.23


It turns out x is the most stable, with the second structure 21 meV per atom higher.


w:
The following is a GGA-PBE calculation of crystalline GeBr2F10 at its relaxed geometry, from Materials Project.

Values from the calculation:
As for the symmetry: P2_1/c.

abc: 14.1859 5.1321 6.6508
angles: 64.32 90.00 90.00
Last column: nearest neighbours and their distance in Å.
Fractional positions:
Ge 0.0000 0.0000 0.0000  6 F 1.76-1.89
Ge 0.5000 0.0000 0.5000  6 F 1.76-1.89
Br 0.3660 0.6811 0.1723  2 F 1.78-1.79
Br 0.8660 0.3189 0.3277  2 F 1.78-1.79
Br 0.1340 0.6811 0.6723  2 F 1.78-1.79
Br 0.6340 0.3189 0.8277  2 F 1.78-1.79
F 0.6755 0.9970 0.0537  1 Br 1.78
F 0.1755 0.0030 0.4463  1 Br 1.78
F 0.3245 0.0030 0.9463  1 Br 1.78
F 0.8245 0.9970 0.5537  1 Br 1.78
F 0.7133 0.5356 0.8993  1 Br 1.79
F 0.2133 0.4644 0.6007  1 Br 1.79
F 0.9636 0.0311 0.2618  1 Ge 1.89
F 0.4636 0.9689 0.2382  1 Ge 1.89
F 0.0364 0.9689 0.7382  1 Ge 1.89
F 0.5364 0.0311 0.7618  1 Ge 1.89
F 0.9055 0.7196 0.0480  1 Ge 1.89
F 0.4055 0.2804 0.4520  1 Ge 1.89
F 0.0945 0.2804 0.9520  1 Ge 1.89
F 0.5945 0.7196 0.5480  1 Ge 1.89
F 0.9200 0.2729 0.8399  1 Ge 1.76
F 0.4200 0.7271 0.6601  1 Ge 1.76
F 0.0800 0.7271 0.1601  1 Ge 1.76
F 0.5800 0.2729 0.3399  1 Ge 1.76
F 0.7867 0.5356 0.3993  1 Br 1.79
F 0.2867 0.4644 0.1007  1 Br 1.79


x:
The following is a GGA-PBE calculation of crystalline GeBr2F10 at its relaxed geometry, from Materials Project.

Values from the calculation:
As for the symmetry: P1.

abc: 14.1859 5.1321 6.4022
angles: 69.43 90.00 90.00
Last column: nearest neighbours and their distance in Å.
Fractional positions:
Ge 0.0023 0.9936 0.9982  5 F 1.76-1.93
Ge 0.5029 0.4948 0.5034  6 F 1.77-1.93
Br 0.3666 0.1556 0.1734  2 F 1.80-1.81
Br 0.8655 0.3473 0.3232  2 F 1.78-1.86
Br 0.1324 0.6550 0.6671  2 F 1.81-1.83
Br 0.6338 0.8441 0.8338  2 F 1.79-1.80
F 0.6729 0.9481 0.0593  1 Br 1.79
F 0.1763 0.5533 0.4383  1 Br 1.83
F 0.3228 0.0594 0.9455  1 Br 1.81
F 0.8230 0.4435 0.5608  1 Br 1.86
F 0.7150 0.5570 0.8985  1 Br 1.80
F 0.2166 0.9375 0.6018  1 Br 1.81
F 0.9650 0.6989 0.2678  1 Ge 1.93
F 0.4603 0.7925 0.2407  1 Ge 1.93
F 0.0367 0.2853 0.7457  1 Ge 1.84
F 0.5351 0.2011 0.7692  1 Ge 1.89
F 0.9030 0.2390 0.0485  1 Ge 1.99, 1 Br 2.09
F 0.4074 0.2598 0.4511  1 Ge 1.92, 1 Br 2.11
F 0.0978 0.7714 0.9502  1 Ge 1.86
F 0.5980 0.7315 0.5487  1 Ge 1.90
F 0.9182 0.8962 0.8371  1 Ge 1.76
F 0.4215 0.6037 0.6645  1 Ge 1.77
F 0.0828 0.1130 0.1648  1 Ge 1.81
F 0.5814 0.3789 0.3387  1 Ge 1.77
F 0.7876 0.0571 0.4062  1 Br 1.78
F 0.2849 0.4429 0.1015  1 Br 1.80


It turns out w is the most stable, with the second structure 18 meV per atom higher.